1.
! MnZnBiO5, relaxed, DFT GGA+U; values from VASP
&SYSTEM
  ibrav = 0, nat = 32, ntyp = 4
/
ATOMIC_SPECIES
Mn 54.94 Mn.upf
Zn 65.41 Zn.upf
Bi 208.98 Bi.upf
O 16.00 O.upf
CELL_PARAMETERS angstrom
5.362 0.014 0.000
-2.258 7.305 0.000
0.000 0.000 11.700
ATOMIC_POSITIONS crystal
Mn 0.785 0.969 0.647
Mn 0.215 0.031 0.353
Mn 0.715 0.531 0.147
Mn 0.285 0.469 0.853
Zn 0.622 0.175 0.919
Zn 0.378 0.825 0.081
Zn 0.878 0.325 0.419
Zn 0.122 0.675 0.581
Bi 0.115 0.178 0.101
Bi 0.885 0.822 0.899
Bi 0.615 0.678 0.399
Bi 0.385 0.322 0.601
O 0.573 0.331 0.074
O 0.032 0.328 0.930
O 0.485 0.641 0.180
O 0.755 0.512 0.524
O 0.802 0.492 0.286
O 0.302 0.992 0.214
O 0.532 0.828 0.570
O 0.468 0.172 0.430
O 0.245 0.488 0.476
O 0.927 0.169 0.574
O 0.198 0.508 0.714
O 0.427 0.669 0.926
O 0.073 0.831 0.426
O 0.698 0.008 0.786
O 0.745 0.988 0.024
O 0.255 0.012 0.976
O 0.515 0.359 0.820
O 0.968 0.672 0.070
O 0.015 0.859 0.680
O 0.985 0.141 0.320
! DFT formation energy = -1.562 eV/atom
! Theoretical density = 5.9 g/cm3
! E above lowest polymorph = 0.000 eV/atom

2.
! KBaVO4, relaxed, DFT GGA+U; values from VASP
&SYSTEM
  ibrav = 0, nat = 28, ntyp = 4
/
ATOMIC_SPECIES
K 39.10 K.upf
Ba 137.33 Ba.upf
V 50.94 V.upf
O 16.00 O.upf
CELL_PARAMETERS angstrom
6.025 0.000 0.000
0.000 7.887 0.000
0.000 0.000 10.575
ATOMIC_POSITIONS crystal
K 0.250 0.836 0.427
K 0.750 0.164 0.573
K 0.250 0.336 0.073
K 0.750 0.664 0.927
Ba 0.250 0.502 0.696
Ba 0.750 0.498 0.304
Ba 0.250 0.002 0.804
Ba 0.750 0.998 0.196
V 0.250 0.272 0.417
V 0.750 0.728 0.583
V 0.250 0.772 0.083
V 0.750 0.228 0.917
O 0.511 0.793 0.663
O 0.011 0.207 0.337
O 0.989 0.293 0.837
O 0.489 0.707 0.163
O 0.489 0.207 0.337
O 0.989 0.793 0.663
O 0.011 0.707 0.163
O 0.511 0.293 0.837
O 0.250 0.189 0.570
O 0.750 0.811 0.430
O 0.250 0.689 0.930
O 0.750 0.311 0.070
O 0.750 0.008 0.928
O 0.250 0.992 0.072
O 0.750 0.508 0.572
O 0.250 0.492 0.428
! DFT formation energy = -2.778 eV/atom
! Theoretical density = 3.9 g/cm3

3.
! NaNi2H3S2O10, relaxed, DFT GGA+U; values from VASP
&SYSTEM
  ibrav = 0, nat = 18, ntyp = 5
/
ATOMIC_SPECIES
Na 22.99 Na.upf
Ni 58.69 Ni.upf
H 1.01 H.upf
S 32.06 S.upf
O 16.00 O.upf
CELL_PARAMETERS angstrom
-5.213 4.617 2.116
-6.945 0.694 -2.063
-3.501 -3.047 4.312
ATOMIC_POSITIONS crystal
Na 0.513 0.513 0.473
Ni 0.998 0.478 0.039
Ni 0.478 0.998 0.039
H 0.076 0.076 0.063
H 0.592 0.592 0.007
H 0.912 0.912 0.968
S 0.108 0.108 0.662
S 0.878 0.878 0.342
O 0.271 0.271 0.219
O 0.647 0.647 0.079
O 0.146 0.146 0.950
O 0.143 0.739 0.320
O 0.244 0.839 0.704
O 0.739 0.143 0.320
O 0.839 0.244 0.704
O 0.845 0.845 0.094
O 0.346 0.346 0.984
O 0.774 0.774 0.503
! DFT formation energy = -1.352 eV/atom
! Theoretical density = 2.6 g/cm3
! E above lowest polymorph = 0.352 eV/atom

4.
! SrPrVSnO6, relaxed, DFT GGA+U; values from VASP
&SYSTEM
  ibrav = 0, nat = 10, ntyp = 5
/
ATOMIC_SPECIES
Sr 87.62 Sr.upf
Pr 140.91 Pr.upf
V 50.94 V.upf
Sn 118.71 Sn.upf
O 16.00 O.upf
CELL_PARAMETERS angstrom
0.000 -4.031 -4.031
4.031 0.000 -4.031
4.031 -4.031 0.000
ATOMIC_POSITIONS crystal
Sr 0.750 0.750 0.750
Pr 0.250 0.250 0.250
V 0.500 0.500 0.500
Sn 0.000 0.000 0.000
O 0.748 0.252 0.252
O 0.252 0.748 0.748
O 0.748 0.252 0.748
O 0.252 0.748 0.252
O 0.748 0.748 0.252
O 0.252 0.252 0.748
! DFT formation energy = -2.742 eV/atom
! Theoretical density = 6.3 g/cm3

5.
! MgV3CoSn2P6O24, relaxed, DFT GGA+U; values from VASP
&SYSTEM
  ibrav = 0, nat = 37, ntyp = 6
/
ATOMIC_SPECIES
Mg 24.30 Mg.upf
V 50.94 V.upf
Co 58.93 Co.upf
Sn 118.71 Sn.upf
P 30.97 P.upf
O 16.00 O.upf
CELL_PARAMETERS angstrom
-1.889 5.037 -7.565
1.482 8.576 0.360
6.716 3.451 -4.368
ATOMIC_POSITIONS crystal
Mg 0.747 0.748 0.753
V 0.087 0.637 0.640
V 0.403 0.871 0.866
V 0.974 0.346 0.340
Co 0.533 0.152 0.160
Sn 0.939 0.021 0.018
Sn 0.550 0.485 0.481
P 0.253 0.251 0.537
P 0.253 0.961 0.249
P 0.257 0.534 0.959
P 0.755 0.455 0.048
P 0.751 0.046 0.745
P 0.753 0.745 0.456
O 0.087 0.127 0.294
O 0.083 0.504 0.120
O 0.082 0.300 0.496
O 0.260 0.065 0.704
O 0.410 0.245 0.369
O 0.228 0.403 0.597
O 0.259 0.977 0.060
O 0.220 0.777 0.398
O 0.598 0.629 0.011
O 0.228 0.600 0.771
O 0.736 0.279 0.067
O 0.594 0.005 0.767
O 0.413 0.970 0.245
O 0.280 0.694 0.968
O 0.779 0.422 0.229
O 0.407 0.358 0.977
O 0.772 0.228 0.574
O 0.733 0.065 0.921
O 0.775 0.574 0.423
O 0.595 0.768 0.629
O 0.738 0.921 0.280
O 0.909 0.706 0.508
O 0.910 0.503 0.878
O 0.906 0.877 0.711
! DFT formation energy = -2.403 eV/atom
! Theoretical density = 3.4 g/cm3
! E above lowest polymorph = 0.133 eV/atom

6.
! Ti3NiSn2P6O24, relaxed, DFT GGA+U; values from VASP
&SYSTEM
  ibrav = 0, nat = 36, ntyp = 5
/
ATOMIC_SPECIES
Ti 47.87 Ti.upf
Ni 58.69 Ni.upf
Sn 118.71 Sn.upf
P 30.97 P.upf
O 16.00 O.upf
CELL_PARAMETERS angstrom
7.935 -4.309 0.000
7.935 4.309 0.000
5.594 0.000 7.087
ATOMIC_POSITIONS crystal
Ti 0.856 0.856 0.856
Ti 0.648 0.648 0.648
Ti 0.348 0.348 0.348
Ni 0.150 0.150 0.150
Sn 0.014 0.014 0.014
Sn 0.497 0.497 0.497
P 0.535 0.958 0.250
P 0.250 0.535 0.958
P 0.038 0.747 0.466
P 0.747 0.466 0.038
P 0.466 0.038 0.747
P 0.958 0.250 0.535
O 0.504 0.875 0.703
O 0.875 0.703 0.504
O 0.718 0.937 0.074
O 0.703 0.504 0.875
O 0.371 0.974 0.233
O 0.578 0.778 0.422
O 0.074 0.718 0.937
O 0.422 0.578 0.778
O 0.006 0.783 0.631
O 0.778 0.422 0.578
O 0.058 0.919 0.281
O 0.783 0.631 0.006
O 0.233 0.371 0.974
O 0.937 0.074 0.718
O 0.222 0.571 0.442
O 0.974 0.233 0.371
O 0.571 0.442 0.222
O 0.919 0.281 0.058
O 0.442 0.222 0.571
O 0.631 0.006 0.783
O 0.280 0.503 0.131
O 0.281 0.058 0.919
O 0.131 0.280 0.503
O 0.503 0.131 0.280
! DFT formation energy = -2.749 eV/atom
! Theoretical density = 3.5 g/cm3

7.
! LiNiAsO4, relaxed, DFT GGA+U; values from VASP
&SYSTEM
  ibrav = 0, nat = 28, ntyp = 4
/
ATOMIC_SPECIES
Li 6.94 Li.upf
Ni 58.69 Ni.upf
As 74.92 As.upf
O 16.00 O.upf
CELL_PARAMETERS angstrom
4.930 0.000 0.000
0.000 5.984 0.000
0.000 0.000 10.447
ATOMIC_POSITIONS crystal
Li 0.000 0.000 0.000
Li 0.500 0.000 0.500
Li 0.000 0.500 0.000
Li 0.500 0.500 0.500
Ni 0.994 0.250 0.272
Ni 0.506 0.250 0.772
Ni 0.006 0.750 0.728
Ni 0.494 0.750 0.228
As 0.064 0.250 0.594
As 0.436 0.250 0.094
As 0.936 0.750 0.406
As 0.564 0.750 0.906
O 0.782 0.250 0.096
O 0.218 0.750 0.904
O 0.718 0.250 0.596
O 0.282 0.750 0.404
O 0.705 0.750 0.057
O 0.295 0.250 0.943
O 0.205 0.250 0.443
O 0.795 0.750 0.557
O 0.227 0.472 0.670
O 0.727 0.528 0.830
O 0.773 0.972 0.330
O 0.273 0.028 0.170
O 0.773 0.528 0.330
O 0.273 0.472 0.170
O 0.227 0.028 0.670
O 0.727 0.972 0.830
! DFT formation energy = -1.816 eV/atom
! Theoretical density = 4.4 g/cm3
! E above lowest polymorph = 0.000 eV/atom

8.
! Ba2MgCo2CuF14, relaxed, DFT GGA+U; values from VASP
&SYSTEM
  ibrav = 0, nat = 40, ntyp = 5
/
ATOMIC_SPECIES
Ba 137.33 Ba.upf
Mg 24.30 Mg.upf
Co 58.93 Co.upf
Cu 63.55 Cu.upf
F 19.00 F.upf
CELL_PARAMETERS angstrom
-5.261 -5.185 0.997
-0.414 -7.176 1.971
-1.475 3.323 14.129
ATOMIC_POSITIONS crystal
Ba 0.734 0.888 0.125
Ba 0.888 0.734 0.625
Ba 0.266 0.112 0.875
Ba 0.112 0.266 0.375
Mg 0.440 0.560 0.250
Mg 0.560 0.440 0.750
Co 0.862 0.901 0.373
Co 0.138 0.099 0.627
Co 0.901 0.862 0.873
Co 0.099 0.138 0.127
Cu 0.500 0.500 0.500
Cu 0.500 0.500 0.000
F 0.903 0.104 0.839
F 0.592 0.128 0.957
F 0.408 0.872 0.043
F 0.148 0.344 0.098
F 0.500 0.400 0.123
F 0.600 0.500 0.377
F 0.128 0.592 0.457
F 0.896 0.097 0.661
F 0.040 0.638 0.274
F 0.852 0.656 0.902
F 0.583 0.197 0.289
F 0.656 0.852 0.402
F 0.197 0.583 0.789
F 0.417 0.803 0.711
F 0.400 0.500 0.623
F 0.960 0.362 0.726
F 0.285 0.877 0.517
F 0.097 0.896 0.161
F 0.715 0.123 0.483
F 0.877 0.285 0.017
F 0.872 0.408 0.543
F 0.803 0.417 0.211
F 0.638 0.040 0.774
F 0.123 0.715 0.983
F 0.500 0.600 0.877
F 0.104 0.903 0.339
F 0.362 0.960 0.226
F 0.344 0.148 0.598
! DFT formation energy = -2.935 eV/atom
! Theoretical density = 4.6 g/cm3

9.
! Li2MnP5O15, relaxed, DFT GGA+U; values from VASP
&SYSTEM
  ibrav = 0, nat = 46, ntyp = 4
/
ATOMIC_SPECIES
Li 6.94 Li.upf
Mn 54.94 Mn.upf
P 30.97 P.upf
O 16.00 O.upf
CELL_PARAMETERS angstrom
-9.127 -6.564 -7.505
3.500 -0.485 -3.832
3.764 -7.546 2.022
ATOMIC_POSITIONS crystal
Li 0.615 0.938 0.106
Li 0.885 0.938 0.106
Li 0.115 0.062 0.894
Li 0.385 0.062 0.894
Mn 0.500 0.500 0.500
Mn 0.000 0.500 0.500
P 0.423 0.338 0.187
P 0.140 0.983 0.489
P 0.250 0.542 0.989
P 0.577 0.662 0.813
P 0.077 0.338 0.187
P 0.750 0.458 0.011
P 0.923 0.662 0.813
P 0.860 0.017 0.511
P 0.360 0.983 0.489
P 0.640 0.017 0.511
O 0.532 0.804 0.928
O 0.144 0.136 0.310
O 0.876 0.306 0.509
O 0.750 0.984 0.455
O 0.356 0.136 0.310
O 0.856 0.864 0.690
O 0.992 0.517 0.722
O 0.750 0.712 0.066
O 0.250 0.016 0.545
O 0.644 0.864 0.690
O 0.424 0.120 0.589
O 0.250 0.804 0.880
O 0.576 0.880 0.411
O 0.250 0.288 0.934
O 0.624 0.306 0.509
O 0.124 0.694 0.491
O 0.492 0.483 0.278
O 0.508 0.517 0.722
O 0.657 0.450 0.890
O 0.468 0.196 0.072
O 0.924 0.880 0.411
O 0.008 0.483 0.278
O 0.076 0.120 0.589
O 0.343 0.550 0.110
O 0.157 0.550 0.110
O 0.968 0.804 0.928
O 0.376 0.694 0.491
O 0.032 0.196 0.072
O 0.843 0.450 0.890
O 0.750 0.196 0.120
! DFT formation energy = -2.572 eV/atom
! Theoretical density = 2.6 g/cm3

10.
! NaCoP2HO7, relaxed, DFT GGA+U; values from VASP
&SYSTEM
  ibrav = 0, nat = 48, ntyp = 5
/
ATOMIC_SPECIES
Na 22.99 Na.upf
Co 58.93 Co.upf
P 30.97 P.upf
H 1.01 H.upf
O 16.00 O.upf
CELL_PARAMETERS angstrom
-6.605 -0.033 -0.225
-0.585 6.197 -2.601
0.611 -6.132 -10.554
ATOMIC_POSITIONS crystal
Na 0.618 0.371 0.118
Na 0.618 0.871 0.618
Na 0.337 0.108 0.344
Na 0.338 0.608 0.844
Co 0.149 0.257 0.641
Co 0.852 0.741 0.356
Co 0.149 0.757 0.141
Co 0.852 0.241 0.856
P 0.118 0.219 0.081
P 0.118 0.719 0.581
P 0.880 0.282 0.419
P 0.880 0.782 0.919
P 0.643 0.848 0.131
P 0.643 0.348 0.631
P 0.356 0.651 0.369
P 0.356 0.151 0.869
H 0.288 0.416 0.216
H 0.288 0.916 0.716
H 0.712 0.089 0.286
H 0.712 0.589 0.786
O 0.209 0.417 0.136
O 0.209 0.917 0.636
O 0.792 0.083 0.362
O 0.792 0.583 0.862
O 0.590 0.060 0.191
O 0.590 0.560 0.691
O 0.403 0.439 0.307
O 0.403 0.939 0.807
O 0.830 0.739 0.184
O 0.830 0.239 0.684
O 0.174 0.767 0.316
O 0.174 0.266 0.816
O 0.113 0.072 0.164
O 0.113 0.572 0.664
O 0.890 0.429 0.337
O 0.890 0.929 0.837
O 0.466 0.717 0.115
O 0.466 0.218 0.615
O 0.536 0.778 0.388
O 0.536 0.278 0.888
O 0.713 0.882 0.009
O 0.713 0.382 0.509
O 0.285 0.616 0.491
O 0.285 0.116 0.991
O 0.922 0.277 0.022
O 0.922 0.777 0.522
O 0.077 0.219 0.477
O 0.077 0.719 0.977
! DFT formation energy = -2.306 eV/atom
! Theoretical density = 3.2 g/cm3

Q: theoretical density of number 8 (Ba2MgCo2CuF14)?
A: 4.6 g/cm3

Q: What is the formula in the first record?
A: MnZnBiO5

Q: What is the formula in the first record?
A: MnZnBiO5

Q: Among the records above, which one has the highest theoretical density?
A: SrPrVSnO6